This record from Materials Project describes a geometry-optimized MgH2 structure. The functional is PBE.

a = 4.512 Å, b = 4.512 Å, c = 3.016 Å
α = 90.00°, β = 90.00°, γ = 90.00°
Space group P4_2/mnm (No. 136)
Inequivalent atoms, fractional coordinates:
Mg (0.000, 0.000, 0.000)
H (0.196, 0.196, 0.500)

Results
* formation energy: -294 meV per atom


This record from Materials Project describes a geometry-optimized Zr2N2O structure. The functional is PBE.

a = 13.017 Å, b = 3.506 Å, c = 12.159 Å
α = 90.00°, β = 117.70°, γ = 90.00°
Space group Cm (No. 8)
Inequivalent atoms, fractional coordinates:
Zr (0.000, 0.000, 0.000)
Zr (0.000, 0.500, 0.244)
Zr (0.242, 0.000, 0.281)
Zr (0.246, 0.500, 0.026)
Zr (0.247, 0.000, 0.788)
Zr (0.255, 0.500, 0.538)
Zr (0.492, 0.000, 0.738)
Zr (0.498, 0.500, 0.484)
N (0.126, 0.500, 0.141)
N (0.127, 0.000, 0.892)
N (0.129, 0.000, 0.388)
N (0.301, 0.000, 0.649)
N (0.305, 0.500, 0.891)
N (0.439, 0.000, 0.379)
N (0.441, 0.500, 0.132)
N (0.448, 0.500, 0.628)
O (0.123, 0.500, 0.636)
O (0.299, 0.000, 0.142)
O (0.301, 0.500, 0.392)
O (0.449, 0.000, 0.887)

Results
* formation energy: -2091 meV per atom
* magnetic moment: 0.00 μB/f.u.
* maximum piezoelectric response: 0.47 C/m²


This record from Materials Project describes a geometry-optimized NdH11S3O16 structure. The functional is PBE.

a = 11.691 Å, b = 7.165 Å, c = 18.727 Å
α = 90.00°, β = 121.88°, γ = 90.00°
Space group P2_1/c (No. 14)
Inequivalent atoms, fractional coordinates:
Nd (0.102, 0.057, 0.179)
H (0.155, 0.060, 0.551)
H (0.170, 0.672, 0.068)
H (0.215, 0.588, 0.001)
H (0.252, 0.010, 0.873)
H (0.255, 0.567, 0.914)
H (0.332, 0.061, 0.976)
H (0.382, 0.163, 0.917)
H (0.386, 0.617, 0.006)
H (0.393, 0.738, 0.297)
H (0.445, 0.585, 0.247)
H (0.471, 0.100, 0.149)
S (0.028, 0.557, 0.209)
S (0.195, 0.050, 0.046)
S (0.412, 0.086, 0.327)
O (0.046, 0.114, 0.672)
O (0.075, 0.719, 0.183)
O (0.101, 0.506, 0.459)
O (0.102, 0.544, 0.304)
O (0.117, 0.079, 0.318)
O (0.146, 0.217, 0.071)
O (0.149, 0.568, 0.027)
O (0.208, 0.601, 0.606)
O (0.287, 0.630, 0.968)
O (0.321, 0.224, 0.262)
O (0.329, 0.090, 0.057)
O (0.330, 0.593, 0.803)
O (0.343, 0.043, 0.926)
O (0.437, 0.609, 0.298)
O (0.445, 0.147, 0.412)
O (0.463, 0.554, 0.172)

Results
* formation energy: -1757 meV per atom
* magnetic moment: 0.00 μB/f.u.


This record from Materials Project describes a geometry-optimized CeAl2 structure. The functional is PBE.

a = 7.954 Å, b = 7.954 Å, c = 7.954 Å
α = 90.00°, β = 90.00°, γ = 90.00°
Space group Fd-3m (No. 227, origin choice 2)
Inequivalent atoms, fractional coordinates:
Ce (0.125, 0.125, 0.125)
Al (0.000, 0.000, 0.500)

Results
* formation energy: -464 meV per atom


This record from Materials Project describes a geometry-optimized BaMgP2O7 structure. The functional is PBE.

a = 5.553 Å, b = 8.651 Å, c = 13.960 Å
α = 90.00°, β = 111.97°, γ = 90.00°
Space group P2_1/c (No. 14)
Inequivalent atoms, fractional coordinates:
Ba (0.058, 0.127, 0.297)
Mg (0.334, 0.166, 0.622)
P (0.302, 0.686, 0.018)
P (0.402, 0.562, 0.670)
O (0.066, 0.660, 0.919)
O (0.255, 0.643, 0.558)
O (0.301, 0.636, 0.749)
O (0.306, 0.096, 0.793)
O (0.318, 0.575, 0.107)
O (0.325, 0.107, 0.154)
O (0.440, 0.190, 0.498)

Results
* formation energy: -3116 meV per atom
* magnetic moment: 0.00 μB/f.u.


This record from Materials Project describes a geometry-optimized Lu6Ge4O17 structure. The functional is PBE.

a = 10.960 Å, b = 6.898 Å, c = 10.556 Å
α = 90.00°, β = 111.59°, γ = 90.00°
Space group P2/c (No. 13)
Inequivalent atoms, fractional coordinates:
Lu (0.048, 0.246, 0.474)
Lu (0.169, 0.095, 0.805)
Lu (0.427, 0.339, 0.072)
Ge (0.224, 0.423, 0.270)
Ge (0.382, 0.138, 0.602)
O (0.015, 0.079, 0.887)
O (0.100, 0.476, 0.110)
O (0.154, 0.222, 0.326)
O (0.238, 0.173, 0.636)
O (0.244, 0.386, 0.887)
O (0.353, 0.055, 0.986)
O (0.373, 0.356, 0.251)
O (0.444, 0.345, 0.550)
O (0.500, 0.029, 0.750)

Results
* formation energy: -3292 meV per atom


This record from Materials Project describes a geometry-optimized K2HgBiBr6 structure. The functional is PBE.

a = 11.651 Å, b = 11.651 Å, c = 11.651 Å
α = 90.00°, β = 90.00°, γ = 90.00°
Space group Fm-3m (No. 225)
Inequivalent atoms, fractional coordinates:
K (0.250, 0.250, 0.250)
Hg (0.000, 0.000, 0.000)
Bi (0.000, 0.000, 0.500)
Br (0.000, 0.000, 0.253)

Results
* formation energy: -1333 meV per atom
* magnetic moment: 0.00 μB/f.u.


This record from Materials Project describes a geometry-optimized Cu3Bi2S4Br structure. The functional is PBE.

a = 4.040 Å, b = 10.462 Å, c = 21.062 Å
α = 90.00°, β = 90.00°, γ = 90.00°
Space group P2_12_12_1 (No. 19)
Inequivalent atoms, fractional coordinates:
Cu (0.028, 0.021, 0.284)
Cu (0.091, 0.627, 0.375)
Cu (0.190, 0.768, 0.711)
Bi (0.012, 0.186, 0.625)
Bi (0.087, 0.611, 0.552)
S (0.003, 0.842, 0.353)
S (0.003, 0.863, 0.547)
S (0.012, 0.448, 0.321)
S (0.024, 0.367, 0.709)
Br (0.011, 0.140, 0.449)

Results
* formation energy: -561 meV per atom
* magnetic moment: 0.00 μB/f.u.


This record from Materials Project describes a geometry-optimized YMg6Cu structure. The functional is PBE.

a = 4.966 Å, b = 6.376 Å, c = 11.262 Å
α = 90.00°, β = 90.00°, γ = 90.00°
Space group Amm2 (No. 38)
Inequivalent atoms, fractional coordinates:
Y (0.000, 0.000, 0.000)
Mg (0.000, 0.000, 0.517)
Mg (0.000, 0.240, 0.758)
Mg (0.500, 0.000, 0.349)
Mg (0.500, 0.241, 0.604)
Cu (0.500, 0.000, 0.848)

Results
* formation energy: 23 meV per atom
* offset from the most stable computed form: 11.8 meV per atom
* magnetic moment: 0.00 μB/f.u.


This record from Materials Project describes a geometry-optimized Sr2UZnO6 structure. The functional is PBE.

a = 5.848 Å, b = 5.919 Å, c = 10.126 Å
α = 90.00°, β = 125.28°, γ = 90.00°
Space group P2_1/c (No. 14)
Inequivalent atoms, fractional coordinates:
Sr (0.246, 0.038, 0.251)
U (0.000, 0.000, 0.500)
Zn (0.500, 0.000, 0.000)
O (0.161, 0.212, 0.961)
O (0.253, 0.701, 0.964)
O (0.321, 0.021, 0.748)

Results
* formation energy: -3196 meV per atom
* magnetic moment: 0.00 μB/f.u.


This record from Materials Project describes a geometry-optimized Sm4Ru structure. The functional is PBE.

a = 10.960 Å, b = 10.960 Å, c = 10.960 Å
α = 90.00°, β = 90.00°, γ = 90.00°
Space group Fd-3m (No. 227, origin choice 2)
Inequivalent atoms, fractional coordinates:
Sm (0.012, 0.012, 0.238)
Ru (0.125, 0.125, 0.625)

Results
* formation energy: 261 meV per atom
* magnetic moment: 0.00 μB/f.u.


This record from Materials Project describes a geometry-optimized AgSbTe2 structure. The functional is PBE.

a = 5.790 Å, b = 3.116 Å, c = 8.168 Å
α = 90.00°, β = 107.39°, γ = 90.00°
Space group P2/m (No. 10)
Inequivalent atoms, fractional coordinates:
Ag (0.000, 0.000, 0.000)
Sb (0.000, 0.000, 0.500)
Te (0.500, 0.000, 0.000)
Te (0.500, 0.000, 0.500)

Results
* formation energy: 96 meV per atom
* magnetic moment: 0.00 μB/f.u.